No. 1
Entry from Materials Project: a relaxed structure of KTa5O13 (PBE).

Cell lengths 5.7322, 10.8530, 17.0245 Å; angles 90.00, 90.00, 90.00 degrees
Closest atoms and distances in Å follow each position.
Space group Pbcm (No. 57)
Symmetry-distinct sites (fractional):
1 K 0.2030 0.1745 0.2500 x4  6 O 2.73-2.92
2 Ta 0.1607 0.5635 0.0759 x8  4 O 1.89-2.01
3 Ta 0.3347 0.2500 0.0000 x4  4 O 1.93-1.95
4 Ta 0.3455 0.6333 0.6369 x8  6 O 1.93-2.12
5 O 0.0894 0.5173 0.6362 x8  2 Ta 1.93-1.97
6 O 0.1297 0.1067 0.5031 x8  1 Ta 1.95
7 O 0.1354 0.7175 0.1267 x8  2 Ta 1.89-2.02
8 O 0.3602 0.6254 0.5127 x8  3 Ta 2.01-2.22
9 O 0.3663 0.6514 0.7500 x4  2 Ta 1.94
10 O 0.3998 0.2480 0.1114 x8  2 Ta 1.93-1.99
11 O 0.4080 0.0048 0.6346 x8  2 Ta 1.89-1.99

The crystal system is orthorhombic.

No. 2
Entry from Materials Project: a relaxed structure of K2RbCO3F (PBE).

Cell lengths 12.0809, 7.6501, 7.2088 Å; angles 90.00, 120.59, 90.00 degrees
Closest atoms and distances in Å follow each position.
Space group C2 (No. 5)
Symmetry-distinct sites (fractional):
1 K 0.0000 0.0000 0.0000 x2  2 F 2.67, 2 O 2.89
2 K 0.0000 0.3669 0.5000 x2  2 F 2.66, 2 O 2.88
3 K 0.2169 0.6501 0.4337 x4  2 F 2.62-2.63, 2 O 2.90
4 Rb 0.2180 0.7156 0.9358 x4  2 F 2.72-2.73, 5 O 2.92-3.04
5 C 0.0000 0.4335 0.0000 x2  3 O 1.31
6 C 0.0000 0.9341 0.5000 x2  3 O 1.31
7 O 0.0000 0.6050 0.0000 x2  1 C 1.31
8 O 0.0000 0.7625 0.5000 x2  1 C 1.31
9 O 0.0842 0.3479 0.1727 x4  1 C 1.31
10 O 0.0852 0.0207 0.6707 x4  1 C 1.31
11 F 0.2503 0.4323 0.7400 x4  4 K 2.62-2.67, 2 Rb 2.72-2.73

The crystal system is monoclinic. Its total moment is 0.000 μB/f.u.

No. 3
Entry from Materials Project: a relaxed structure of Hf9FeRe4 (PBE).

Cell lengths 8.5890, 8.5890, 8.4253 Å; angles 90.00, 90.00, 120.00 degrees
Closest atoms and distances in Å follow each position.
Space group P6_3/mmc (No. 194)
Symmetry-distinct sites (fractional):
1 Hf 0.0784 0.5392 0.2500 x6  2 Re 2.88, 1 Fe 3.06, 4 Hf 3.14
2 Hf 0.2002 0.4004 0.5582 x12  1 Fe 2.56
3 Fe 0.3333 0.6667 0.7500 x2  6 Hf 2.56
4 Re 0.0000 0.0000 0.0000 x2  6 Re 2.67
5 Re 0.1102 0.2204 0.2500 x6  4 Re 2.67-2.84, 4 Hf 2.88-2.92

The crystal system is hexagonal.

No. 4
Entry from Materials Project: a relaxed structure of RbSrMg14 (PBE).

Cell lengths 10.9110, 6.6753, 11.7743 Å; angles 90.00, 90.00, 90.00 degrees
Closest atoms and distances in Å follow each position.
Space group Amm2 (No. 38)
Symmetry-distinct sites (fractional):
1 Rb 0.0000 0.0000 0.0000 x2  2 Sr 3.34, 10 Mg 3.36-3.60
2 Sr 0.0000 0.0000 0.4970 x2  2 Rb 3.34, 10 Mg 3.35-3.56
3 Mg 0.0000 0.2471 0.7510 x4  8 Mg 3.30-3.53, 2 Sr 3.35-3.41, 2 Rb 3.36-3.40
4 Mg 0.2569 0.0000 0.6714 x4  11 Mg 3.27-3.49, 1 Sr 3.47
5 Mg 0.2624 0.0000 0.1748 x4  11 Mg 3.20-3.55, 1 Rb 3.53
6 Mg 0.2745 0.2457 0.4104 x8  7 Mg 3.11-3.39
7 Mg 0.5000 0.0000 0.0018 x2  12 Mg 3.18-3.42
8 Mg 0.5000 0.0000 0.5020 x2  12 Mg 3.15-3.42
9 Mg 0.5000 0.2492 0.2486 x4  12 Mg 3.11-3.42

The crystal system is orthorhombic. The excess energy over the best structure of this formula in the dataset is 6.7 meV per atom. Its total moment is 0.056 μB/f.u.

No. 5
Entry from Materials Project: a relaxed structure of Na3ZrAlSiP2O12 (PBE).

Cell lengths 15.5273, 8.9175, 22.0942 Å; angles 90.00, 90.20, 90.00 degrees
Closest atoms and distances in Å follow each position.
Space group Cc (No. 9)
Symmetry-distinct sites (fractional):
1 Na 0.0000 0.0004 0.0000 x4  4 O 2.35-2.53
2 Na 0.0078 0.3596 0.2498 x4  5 O 2.36-2.64
3 Na 0.1562 0.1884 0.4093 x4  5 O 2.33-2.58
4 Na 0.1636 0.4794 0.8339 x4  4 O 2.34-2.57
5 Na 0.1740 0.1350 0.0864 x4  5 O 2.35-2.57
6 Na 0.3185 0.3109 0.2501 x4  5 O 2.36-2.61
7 Na 0.3358 0.0032 0.1666 x4  4 O 2.36-2.55
8 Na 0.3376 0.3643 0.9178 x4  5 O 2.34-2.58
9 Na 0.3545 0.3205 0.5758 x4  4 O 2.32-2.56
10 Zr 0.0053 0.0083 0.8489 x4  6 O 2.01-2.19
11 Zr 0.1733 0.4997 0.1822 x4  6 O 1.99-2.16
12 Zr 0.3431 0.0009 0.0152 x4  6 O 2.02-2.20
13 Al 0.0067 0.0104 0.6416 x4  4 O 1.86-2.01
14 Al 0.1764 0.4984 0.4758 x4  6 O 1.89-2.11
15 Al 0.3322 0.0024 0.3088 x4  5 O 1.87-2.03
16 Si 0.1529 0.1301 0.2422 x4  4 O 1.63-1.68
17 Si 0.3248 0.3621 0.0779 x4  4 O 1.63-1.65
18 Si 0.3320 0.2949 0.4106 x4  4 O 1.63-1.65
19 P 0.0328 0.3502 0.0758 x4  4 O 1.53-1.56
20 P 0.1634 0.2086 0.5729 x4  4 O 1.54-1.58
21 P 0.1970 0.1545 0.9116 x4  4 O 1.54-1.56
22 P 0.3621 0.3413 0.7433 x4  4 O 1.54-1.56
23 P 0.4875 0.1310 0.9059 x4  4 O 1.53-1.57
24 P 0.4985 0.2075 0.2419 x4  4 O 1.53-1.55
25 O 0.0081 0.2006 0.8008 x4  1 P 1.54
26 O 0.0253 0.1770 0.0771 x4  1 P 1.55
27 O 0.0684 0.4055 0.1375 x4  1 P 1.55
28 O 0.0760 0.4414 0.4151 x4  1 P 1.53
29 O 0.0780 0.3975 0.7397 x4  1 P 1.55
30 O 0.0843 0.1070 0.5806 x4  1 P 1.54
31 O 0.0914 0.4010 0.0241 x4  1 P 1.53
32 O 0.0941 0.1097 0.3029 x4  1 Si 1.64
33 O 0.1008 0.0705 0.1824 x4  1 Si 1.64
34 O 0.1075 0.0770 0.9065 x4  1 P 1.56
35 O 0.1576 0.3011 0.5141 x4  1 P 1.54
36 O 0.1641 0.3177 0.2410 x4  1 Si 1.68
37 O 0.1774 0.3133 0.6276 x4  1 P 1.54
38 O 0.1871 0.3253 0.9181 x4  1 P 1.54
39 O 0.2354 0.0886 0.9708 x4  1 P 1.55
40 O 0.2444 0.3997 0.4149 x4  1 Si 1.65
41 O 0.2458 0.1049 0.5735 x4  1 P 1.58
42 O 0.2492 0.0604 0.2509 x4  1 Si 1.63
43 O 0.2571 0.1200 0.8581 x4  1 P 1.54
44 O 0.2651 0.3885 0.1383 x4  1 Si 1.65
45 O 0.2701 0.4102 0.7400 x4  1 P 1.56
46 O 0.2743 0.4357 0.0195 x4  1 Si 1.64
47 O 0.3233 0.1812 0.3527 x4  1 Si 1.64
48 O 0.3308 0.1785 0.0753 x4  1 Si 1.64
49 O 0.3434 0.2003 0.4735 x4  1 Si 1.63
50 O 0.3565 0.1699 0.7513 x4  1 P 1.54
51 O 0.4018 0.4170 0.8003 x4  1 P 1.55
52 O 0.4146 0.4114 0.4092 x4  1 Si 1.65
53 O 0.4167 0.1090 0.2466 x4  1 P 1.55
54 O 0.4175 0.3767 0.6869 x4  1 P 1.55
55 O 0.4177 0.4453 0.0865 x4  1 Si 1.63
56 O 0.4267 0.1091 0.9608 x4  1 P 1.55
57 O 0.4391 0.0866 0.5726 x4  1 P 1.56
58 O 0.4417 0.0750 0.8481 x4  1 P 1.54
59 O 0.4896 0.3136 0.1877 x4  1 P 1.53
60 O 0.4994 0.3062 0.9051 x4  1 P 1.57

The crystal system is monoclinic. The excess energy over the best structure of this formula in the dataset is 0.0 meV per atom. Its total moment is 0.000 μB/f.u.

No. 6
Entry from Materials Project: a relaxed structure of Bi2Pd3Se2 (PBE).

Cell lengths 11.9459, 8.5745, 8.5439 Å; angles 90.00, 133.72, 90.00 degrees
Closest atoms and distances in Å follow each position.
Space group C2/m (No. 12)
Symmetry-distinct sites (fractional):
1 Bi 0.2150 0.0000 0.1966 x4  6 Pd 2.93-3.08
2 Bi 0.2494 0.5000 0.2411 x4  6 Pd 2.82-2.98
3 Pd 0.0000 0.2771 0.0000 x4  2 Se 2.50
4 Pd 0.0249 0.0000 0.3015 x4  2 Se 2.49
5 Pd 0.2500 0.2500 0.0000 x4  2 Se 2.50
6 Se 0.0324 0.2897 0.3213 x8  3 Pd 2.49-2.50

The crystal system is monoclinic.

Calculated values (eV per atom) of uncorrected energy for the records, taken in order: -9.3895; -5.6275; -10.8693; -1.4170; -7.1628; -4.6962.